1.
A plane-wave DFT calculation with PBE was carried out for an optimized crystal structure of MgB4Os3.

abc: 2.9214 11.9155 9.8073
angles: 90.00 90.00 90.00
Space group Cmcm (No. 63)
Symmetry-distinct sites (fractional):
Mg 0.0000 0.0000 0.0000
B 0.0000 0.1233 0.2500
B 0.0000 0.1542 0.7500
B 0.0000 0.3409 0.1106
Os 0.0000 0.3003 0.6071
Os 0.0000 0.4836 0.2500

2.
A plane-wave DFT calculation with PBE was carried out for an optimized crystal structure of Mg8BPt4.

abc: 12.3341 12.3341 12.3341
angles: 90.00 90.00 90.00
Space group Fd-3m (No. 227, origin choice 2)
Symmetry-distinct sites (fractional):
Mg 0.0000 0.0000 0.0000
Mg 0.0749 0.3750 0.8750
B 0.1250 0.1250 0.1250
Pt 0.0257 0.0257 0.2243

3.
A plane-wave DFT calculation with PBE was carried out for an optimized crystal structure of RbMg14B.

abc: 6.3922 6.3922 10.6880
angles: 90.00 90.00 120.00
Space group P-6m2 (No. 187)
Symmetry-distinct sites (fractional):
Rb 0.0000 0.0000 0.0000
Mg 0.0077 0.5039 0.0000
Mg 0.1634 0.3268 0.2807
Mg 0.5053 0.0106 0.5000
Mg 0.6667 0.3333 0.2408
B 0.0000 0.0000 0.5000

Asked for formation energy from the elements across the records above, the calculation gives -0.226 -0.664 0.328 eV per atom in order.